No. 1
Density functional theory data (PBE) for an optimized crystal structure of Na3Zr2Ti2SiP5O24.

Output
Energy of formation = -3.08 eV/atom
Size of the total moment = 0.000 μB/atom
V = 1552.5 Å³/cell

Geometry as POSCAR:
```
Na3Zr2Ti2SiP5O24
1.0
-4.071 -7.782 1.188
8.551 0.833 2.024
-5.639 6.181 21.286
Na Zr Ti Si P O
9 6 6 3 15 72
Direct
0.367 0.003 0.750 Na
0.669 0.968 0.585 Na
0.667 0.698 0.083 Na
0.007 0.000 0.501 Na
0.007 0.005 0.997 Na
0.673 0.340 0.834 Na
0.667 0.333 0.333 Na
0.326 0.666 0.167 Na
0.328 0.656 0.667 Na
0.000 0.999 0.353 Zr
0.007 0.004 0.146 Zr
0.324 0.666 0.019 Zr
0.327 0.664 0.521 Zr
0.333 0.667 0.314 Zr
0.336 0.664 0.814 Zr
0.992 0.000 0.852 Ti
0.005 0.999 0.648 Ti
0.670 0.330 0.686 Ti
0.674 0.337 0.186 Ti
0.670 0.337 0.981 Ti
0.658 0.330 0.482 Ti
0.719 0.005 0.748 Si
0.375 0.052 0.585 Si
0.952 0.614 0.083 Si
0.300 0.007 0.249 P
0.707 0.702 0.248 P
0.995 0.293 0.249 P
0.285 0.283 0.749 P
0.992 0.711 0.750 P
0.949 0.330 0.584 P
0.672 0.618 0.584 P
0.667 0.053 0.083 P
0.387 0.332 0.083 P
0.633 0.667 0.918 P
0.034 0.367 0.916 P
0.333 0.968 0.916 P
0.626 0.965 0.419 P
0.339 0.374 0.418 P
0.033 0.659 0.418 P
0.213 0.033 0.304 O
0.821 0.788 0.303 O
0.966 0.180 0.304 O
0.201 0.166 0.804 O
0.971 0.802 0.805 O
0.839 0.029 0.806 O
0.810 0.976 0.690 O
0.170 0.194 0.695 O
0.030 0.833 0.695 O
0.789 0.816 0.193 O
0.027 0.209 0.195 O
0.181 0.972 0.195 O
0.863 0.359 0.639 O
0.503 0.142 0.642 O
0.644 0.503 0.639 O
0.852 0.494 0.141 O
0.639 0.137 0.138 O
0.500 0.362 0.138 O
0.471 0.306 0.028 O
0.824 0.521 0.027 O
0.691 0.164 0.028 O
0.476 0.172 0.527 O
0.697 0.532 0.529 O
0.834 0.301 0.530 O
0.553 0.699 0.973 O
0.151 0.452 0.971 O
0.302 0.848 0.969 O
0.544 0.851 0.474 O
0.307 0.458 0.472 O
0.152 0.694 0.471 O
0.120 0.633 0.363 O
0.512 0.879 0.364 O
0.367 0.487 0.363 O
0.118 0.485 0.862 O
0.364 0.882 0.861 O
0.514 0.636 0.864 O
0.019 0.826 0.411 O
0.807 0.981 0.411 O
0.175 0.192 0.411 O
0.020 0.186 0.908 O
0.168 0.982 0.907 O
0.814 0.830 0.908 O
0.964 0.163 0.591 O
0.182 0.028 0.593 O
0.831 0.806 0.591 O
0.960 0.804 0.088 O
0.828 0.028 0.089 O
0.202 0.173 0.088 O
0.691 0.176 0.742 O
0.467 0.300 0.742 O
0.832 0.530 0.742 O
0.688 0.519 0.241 O
0.830 0.309 0.242 O
0.480 0.169 0.241 O
0.647 0.500 0.925 O
0.853 0.350 0.926 O
0.498 0.146 0.925 O
0.645 0.148 0.426 O
0.504 0.358 0.425 O
0.853 0.497 0.426 O
0.373 0.501 0.077 O
0.144 0.637 0.080 O
0.508 0.864 0.078 O
0.368 0.863 0.579 O
0.510 0.644 0.578 O
0.132 0.492 0.579 O
0.315 0.840 0.256 O
0.526 0.686 0.256 O
0.158 0.475 0.256 O
0.303 0.465 0.755 O
0.161 0.699 0.756 O
0.520 0.838 0.755 O
```

No. 2
Density functional theory data (PBE) for an optimized crystal structure of K3Re.

Output
Energy of formation = 1.50 eV/atom
Size of the total moment = 0.952 μB/atom
V = 170.5 Å³/cell

Geometry as POSCAR:
```
K3Re
1.0
2.185 -3.662 5.044
3.008 4.308 4.003
-6.078 0.292 -2.569
K Re
3 1
Direct
0.750 0.250 0.500 K
0.250 0.750 0.500 K
0.500 0.500 0.000 K
0.000 0.000 0.000 Re
```

No. 3
Density functional theory data (PBE) for an optimized crystal structure of Te4MoW3Se2S2.

Output
Energy of formation = -0.46 eV/atom
Size of the total moment = 0.000 μB/atom
V = 387.3 Å³/cell

Geometry as POSCAR:
```
Te4MoW3Se2S2
1.0
-0.972 1.714 -2.766
-1.238 -3.105 0.596
-29.386 15.548 19.960
Te Mo W Se S
4 1 3 2 2
Direct
0.333 0.667 0.046 Te
0.333 0.667 0.421 Te
0.333 0.667 0.142 Te
0.333 0.667 0.518 Te
0.000 0.000 0.094 Mo
0.000 0.000 0.470 W
0.333 0.667 0.282 W
0.333 0.667 0.658 W
0.000 0.000 0.700 Se
0.000 0.000 0.615 Se
0.000 0.000 0.321 S
0.000 0.000 0.243 S
```

No. 4
Density functional theory data (PBE) for an optimized crystal structure of BaU2As2O22.

Output
Energy of formation = -1.36 eV/atom
Size of the total moment = 0.154 μB/atom
V = 979.9 Å³/cell

Geometry as POSCAR:
```
BaU2As2O22
1.0
-0.862 5.855 -4.069
-5.139 2.371 4.501
8.931 10.922 13.824
Ba U As O
2 4 4 44
Direct
0.010 0.500 0.250 Ba
0.990 0.500 0.750 Ba
0.748 0.708 0.052 U
0.748 0.292 0.448 U
0.252 0.292 0.948 U
0.252 0.708 0.552 U
0.248 0.747 0.001 As
0.248 0.253 0.499 As
0.752 0.253 0.999 As
0.752 0.747 0.501 As
0.765 0.627 0.152 O
0.765 0.373 0.348 O
0.235 0.373 0.848 O
0.235 0.627 0.652 O
0.440 0.673 0.055 O
0.440 0.327 0.445 O
0.560 0.327 0.945 O
0.560 0.673 0.555 O
0.064 0.731 0.058 O
0.064 0.269 0.442 O
0.936 0.269 0.942 O
0.936 0.731 0.558 O
0.214 0.604 0.946 O
0.214 0.396 0.554 O
0.786 0.396 0.054 O
0.786 0.604 0.446 O
0.276 0.981 0.948 O
0.276 0.019 0.552 O
0.724 0.019 0.052 O
0.724 0.981 0.448 O
0.743 0.781 0.956 O
0.743 0.219 0.544 O
0.257 0.219 0.044 O
0.257 0.781 0.456 O
0.096 0.970 0.175 O
0.096 0.030 0.325 O
0.904 0.030 0.825 O
0.904 0.970 0.675 O
0.050 0.137 0.170 O
0.050 0.863 0.330 O
0.950 0.863 0.830 O
0.950 0.137 0.670 O
0.357 0.368 0.217 O
0.357 0.632 0.283 O
0.643 0.632 0.783 O
0.643 0.368 0.717 O
0.515 0.723 0.262 O
0.515 0.277 0.238 O
0.485 0.277 0.738 O
0.485 0.723 0.762 O
0.506 0.113 0.286 O
0.506 0.887 0.214 O
0.494 0.887 0.714 O
0.494 0.113 0.786 O
```

No. 5
Density functional theory data (PBE) for an optimized crystal structure of TlInHgS3.

Output
Energy of formation = -0.63 eV/atom
Size of the total moment = 0.000 μB/atom
V = 605.9 Å³/cell

Geometry as POSCAR:
```
TlInHgS3
1.0
2.099 -3.614 6.107
3.509 -5.770 3.027
20.102 7.646 3.849
Tl In Hg S
4 4 4 12
Direct
0.100 0.889 0.922 Tl
0.111 0.900 0.578 Tl
0.900 0.111 0.078 Tl
0.889 0.100 0.422 Tl
0.816 0.698 0.824 In
0.302 0.184 0.676 In
0.184 0.302 0.176 In
0.698 0.816 0.324 In
0.568 0.432 0.750 Hg
0.432 0.568 0.250 Hg
0.500 0.000 0.000 Hg
0.000 0.500 0.500 Hg
0.438 0.315 0.847 S
0.685 0.562 0.653 S
0.562 0.685 0.153 S
0.315 0.438 0.347 S
0.207 0.093 0.797 S
0.907 0.793 0.703 S
0.793 0.907 0.203 S
0.093 0.207 0.297 S
0.745 0.577 0.943 S
0.423 0.255 0.557 S
0.255 0.423 0.057 S
0.577 0.745 0.443 S
```

No. 6
Density functional theory data (PBE) for an optimized crystal structure of CuAs7PS7Cl.

Output
Energy of formation = -0.44 eV/atom
Size of the total moment = 0.000 μB/atom
V = 1858.6 Å³/cell

Geometry as POSCAR:
```
CuAs7PS7Cl
1.0
-0.220 -11.084 8.072
0.998 -5.690 -7.785
14.061 -0.227 0.071
Cu As P S Cl
4 28 4 28 4
Direct
0.670 0.627 0.289 Cu
0.170 0.373 0.211 Cu
0.330 0.373 0.711 Cu
0.830 0.627 0.789 Cu
0.439 0.076 0.173 As
0.939 0.924 0.327 As
0.561 0.924 0.827 As
0.061 0.076 0.673 As
0.388 0.024 0.346 As
0.888 0.976 0.154 As
0.612 0.976 0.654 As
0.112 0.024 0.846 As
0.537 0.169 0.302 As
0.037 0.831 0.198 As
0.463 0.831 0.698 As
0.963 0.169 0.802 As
0.611 0.598 0.010 As
0.111 0.402 0.490 As
0.389 0.402 0.990 As
0.889 0.598 0.510 As
0.670 0.385 0.925 As
0.170 0.615 0.575 As
0.330 0.615 0.075 As
0.830 0.385 0.425 As
0.749 0.360 0.165 As
0.249 0.640 0.335 As
0.251 0.640 0.835 As
0.751 0.360 0.665 As
0.858 0.534 0.057 As
0.358 0.466 0.443 As
0.142 0.466 0.943 As
0.642 0.534 0.557 As
0.584 0.823 0.291 P
0.084 0.177 0.209 P
0.416 0.177 0.709 P
0.916 0.823 0.791 P
0.525 0.881 0.155 S
0.025 0.119 0.345 S
0.475 0.119 0.845 S
0.975 0.881 0.655 S
0.462 0.816 0.382 S
0.962 0.184 0.118 S
0.538 0.184 0.618 S
0.038 0.816 0.882 S
0.655 0.004 0.325 S
0.155 0.996 0.175 S
0.345 0.996 0.675 S
0.845 0.004 0.825 S
0.613 0.496 0.165 S
0.113 0.504 0.335 S
0.387 0.504 0.835 S
0.887 0.496 0.665 S
0.753 0.710 0.020 S
0.253 0.290 0.480 S
0.247 0.290 0.980 S
0.747 0.710 0.520 S
0.832 0.442 0.914 S
0.332 0.558 0.586 S
0.168 0.558 0.086 S
0.668 0.442 0.414 S
0.692 0.228 0.054 S
0.192 0.772 0.446 S
0.308 0.772 0.946 S
0.808 0.228 0.554 S
0.841 0.648 0.264 Cl
0.341 0.352 0.236 Cl
0.159 0.352 0.736 Cl
0.659 0.648 0.764 Cl
```

No. 7
Density functional theory data (PBE) for an optimized crystal structure of TaTeCl9.

Output
Energy of formation = -1.51 eV/atom
Size of the total moment = 0.000 μB/atom
V = 1453.8 Å³/cell

Geometry as POSCAR:
```
TaTeCl9
1.0
3.340 11.326 0.000
-3.340 11.326 0.000
0.000 5.866 19.214
Ta Te Cl
4 4 36
Direct
0.442 0.848 0.626 Ta
0.152 0.558 0.874 Ta
0.558 0.152 0.374 Ta
0.848 0.442 0.126 Ta
0.279 0.885 0.840 Te
0.721 0.115 0.160 Te
0.115 0.721 0.660 Te
0.885 0.279 0.340 Te
0.778 0.867 0.174 Cl
0.897 0.049 0.597 Cl
0.052 0.121 0.205 Cl
0.102 0.366 0.128 Cl
0.986 0.739 0.970 Cl
0.404 0.505 0.860 Cl
0.480 0.697 0.936 Cl
0.366 0.102 0.628 Cl
0.596 0.495 0.140 Cl
0.303 0.520 0.564 Cl
0.867 0.778 0.674 Cl
0.634 0.898 0.372 Cl
0.261 0.014 0.530 Cl
0.222 0.133 0.826 Cl
0.898 0.634 0.872 Cl
0.625 0.766 0.066 Cl
0.697 0.480 0.436 Cl
0.951 0.103 0.903 Cl
0.670 0.621 0.235 Cl
0.621 0.670 0.735 Cl
0.103 0.951 0.403 Cl
0.495 0.596 0.640 Cl
0.379 0.330 0.265 Cl
0.739 0.986 0.470 Cl
0.049 0.897 0.097 Cl
0.014 0.261 0.030 Cl
0.948 0.879 0.795 Cl
0.879 0.948 0.295 Cl
0.505 0.404 0.360 Cl
0.766 0.625 0.566 Cl
0.330 0.379 0.765 Cl
0.234 0.375 0.434 Cl
0.121 0.052 0.705 Cl
0.520 0.303 0.064 Cl
0.375 0.234 0.934 Cl
0.133 0.222 0.326 Cl
```

No. 8
Density functional theory data (PBE) for an optimized crystal structure of Ag2S.

Output
Piezoelectric modulus e_max = 0.53 C/m²
Energy of formation = -0.22 eV/atom
Size of the total moment = 0.000 μB/atom
V = 146.4 Å³/cell

Geometry as POSCAR:
```
Ag2S
1.0
5.899 0.000 0.000
0.000 4.345 0.000
0.000 1.525 5.711
Ag S
4 2
Direct
0.454 0.906 0.009 Ag
0.954 0.094 0.991 Ag
0.525 0.983 0.491 Ag
0.025 0.017 0.509 Ag
0.771 0.706 0.805 S
0.271 0.294 0.195 S
```

No. 9
Density functional theory data (PBE) for an optimized crystal structure of YZn3.

Output
Energy of formation = -0.38 eV/atom
V = 298.4 Å³/cell

Geometry as POSCAR:
```
YZn3
1.0
4.392 0.000 0.000
0.000 6.713 0.000
0.000 0.000 10.122
Y Zn
4 12
Direct
0.250 0.280 0.661 Y
0.750 0.720 0.339 Y
0.250 0.780 0.839 Y
0.750 0.220 0.161 Y
0.250 0.537 0.106 Zn
0.750 0.463 0.894 Zn
0.250 0.037 0.394 Zn
0.750 0.963 0.606 Zn
0.750 0.280 0.456 Zn
0.250 0.720 0.544 Zn
0.750 0.780 0.044 Zn
0.250 0.220 0.956 Zn
0.750 0.583 0.648 Zn
0.250 0.417 0.352 Zn
0.750 0.083 0.852 Zn
0.250 0.917 0.148 Zn
```

No. 10
Density functional theory data (PBE) for an optimized crystal structure of Li3Ti2P3O12.

Output
Energy of formation = -2.87 eV/atom
Size of the total moment = 0.100 μB/atom
V = 480.3 Å³/cell

Geometry as POSCAR:
```
Li3Ti2P3O12
1.0
8.476 0.000 0.000
4.235 7.367 0.000
4.220 2.430 7.691
Li Ti P O
6 4 6 24
Direct
0.244 0.569 0.355 Li
0.330 0.072 0.863 Li
0.076 0.733 0.865 Li
0.925 0.269 0.140 Li
0.670 0.923 0.139 Li
0.733 0.332 0.859 Li
0.144 0.143 0.563 Ti
0.346 0.351 0.957 Ti
0.645 0.655 0.044 Ti
0.847 0.856 0.439 Ti
0.044 0.457 0.750 P
0.542 0.251 0.250 P
0.250 0.957 0.252 P
0.748 0.043 0.750 P
0.461 0.748 0.749 P
0.957 0.540 0.250 P
0.206 0.150 0.100 O
0.151 0.532 0.099 O
0.018 0.605 0.575 O
0.144 0.253 0.732 O
0.127 0.853 0.279 O
0.541 0.208 0.100 O
0.385 0.207 0.418 O
0.165 0.496 0.807 O
0.505 0.467 0.198 O
0.201 0.997 0.418 O
0.747 0.129 0.267 O
0.466 0.835 0.195 O
0.532 0.166 0.809 O
0.256 0.871 0.732 O
0.800 0.004 0.582 O
0.496 0.533 0.808 O
0.832 0.506 0.192 O
0.614 0.799 0.578 O
0.473 0.798 0.890 O
0.871 0.143 0.732 O
0.858 0.745 0.267 O
0.997 0.390 0.417 O
0.847 0.462 0.897 O
0.790 0.849 0.901 O
```

Among the records above, which one has the lowest V? Ag2S

Which value of V does entry 10 give? 480.3 Å³/cell

Which value of V does entry 10 give? 480.3 Å³/cell